Density functional theory data (PBE) for crystalline CdSiO3 at its relaxed geometry.

```
CdSiO3
1.0
-0.682 -1.906 7.079
6.957 0.973 0.933
-1.212 14.777 3.862
Cd Si O
12 12 36
direct
0.624 0.989 0.248 Cd
0.373 0.751 0.099 Cd
0.379 0.253 0.398 Cd
0.124 0.011 0.252 Cd
0.621 0.747 0.602 Cd
0.873 0.249 0.401 Cd
0.879 0.747 0.102 Cd
0.121 0.253 0.898 Cd
0.376 0.011 0.752 Cd
0.127 0.751 0.599 Cd
0.627 0.249 0.901 Cd
0.876 0.989 0.748 Cd
0.411 0.760 0.410 Si
0.838 0.761 0.410 Si
0.877 0.452 0.698 Si
0.589 0.240 0.590 Si
0.338 0.239 0.090 Si
0.623 0.452 0.198 Si
0.911 0.240 0.090 Si
0.662 0.761 0.910 Si
0.089 0.760 0.910 Si
0.377 0.548 0.802 Si
0.123 0.548 0.302 Si
0.162 0.239 0.590 Si
0.376 0.298 0.600 O
0.876 0.702 0.900 O
0.555 0.586 0.866 O
0.445 0.414 0.134 O
0.055 0.414 0.634 O
0.624 0.702 0.400 O
0.621 0.774 0.012 O
0.125 0.043 0.654 O
0.875 0.957 0.346 O
0.121 0.226 0.488 O
0.871 0.042 0.151 O
0.875 0.681 0.703 O
0.198 0.586 0.867 O
0.876 0.305 0.785 O
0.302 0.586 0.367 O
0.124 0.695 0.215 O
0.125 0.319 0.297 O
0.375 0.043 0.154 O
0.698 0.414 0.633 O
0.124 0.298 0.100 O
0.625 0.957 0.846 O
0.375 0.319 0.797 O
0.376 0.695 0.715 O
0.379 0.226 0.988 O
0.629 0.042 0.651 O
0.624 0.305 0.285 O
0.625 0.681 0.203 O
0.802 0.414 0.133 O
0.129 0.958 0.849 O
0.872 0.233 0.986 O
0.945 0.586 0.366 O
0.879 0.774 0.512 O
0.628 0.233 0.486 O
0.128 0.767 0.014 O
0.371 0.958 0.349 O
0.372 0.767 0.514 O
```

Properties
E = -6.369 eV per atom
Space group = P2_1/c
Energy relative to the elements = -2.543 eV/atom

***

Density functional theory data (PBE) for crystalline ErAlO3 at its relaxed geometry.

```
ErAlO3
1.0
-0.496 -1.757 3.213
2.545 -2.497 -0.973
2.633 2.082 1.545
Er Al O
1 1 3
direct
0.000 0.000 0.000 Er
0.500 0.500 0.500 Al
0.500 0.500 0.000 O
0.500 0.000 0.500 O
0.000 0.500 0.500 O
```

Properties
E = -7.814 eV per atom
Space group = Pm-3m
Energy relative to the elements = -3.595 eV/atom

***

Density functional theory data (PBE) for crystalline H16Ru3C6Cl6O14 at its relaxed geometry.

```
H16Ru3C6Cl6O14
1.0
6.647 0.000 0.000
-3.261 6.643 0.000
-2.314 -1.701 14.922
H Ru C Cl O
16 3 6 6 14
direct
0.637 0.350 0.358 H
0.363 0.650 0.642 H
0.901 0.486 0.379 H
0.099 0.514 0.621 H
0.722 0.133 0.568 H
0.278 0.867 0.432 H
0.777 0.233 0.477 H
0.223 0.767 0.523 H
0.051 0.085 0.679 H
0.949 0.915 0.321 H
0.295 0.156 0.657 H
0.705 0.844 0.343 H
0.774 0.669 0.580 H
0.226 0.331 0.420 H
0.741 0.603 0.477 H
0.259 0.397 0.523 H
0.000 0.000 0.500 Ru
0.741 0.611 0.822 Ru
0.259 0.389 0.178 Ru
0.776 0.411 0.888 C
0.224 0.589 0.112 C
0.732 0.752 0.926 C
0.268 0.248 0.074 C
0.062 0.771 0.834 C
0.938 0.229 0.166 C
0.727 0.423 0.680 Cl
0.273 0.577 0.320 Cl
0.683 0.862 0.733 Cl
0.317 0.138 0.267 Cl
0.329 0.418 0.807 Cl
0.671 0.582 0.193 Cl
0.770 0.420 0.408 O
0.230 0.580 0.592 O
0.761 0.114 0.510 O
0.239 0.886 0.490 O
0.136 0.052 0.639 O
0.864 0.948 0.361 O
0.749 0.711 0.520 O
0.251 0.289 0.480 O
0.799 0.292 0.930 O
0.201 0.708 0.070 O
0.723 0.837 0.989 O
0.277 0.163 0.011 O
0.256 0.871 0.845 O
0.744 0.129 0.155 O
```

Properties
E = -5.693 eV per atom
Space group = P-1
Energy relative to the elements = -1.066 eV/atom

***

Density functional theory data (PBE) for crystalline MnSnIr at its relaxed geometry.

```
MnSnIr
1.0
3.502 -2.561 0.152
2.943 0.156 -3.187
3.916 1.719 0.744
Mn Sn Ir
1 1 1
direct
0.000 0.000 0.000 Mn
0.750 0.750 0.750 Sn
0.500 0.500 0.500 Ir
```

Properties
E = -7.051 eV per atom
Space group = F-43m
Energy relative to the elements = 0.285 eV/atom

***

Density functional theory data (PBE) for crystalline Mg6CoSb at its relaxed geometry.

```
Mg6CoSb
1.0
4.859 0.000 0.000
0.000 6.228 0.000
0.000 0.000 10.626
Mg Co Sb
12 2 2
direct
0.000 0.248 0.584 Mg
0.000 0.752 0.584 Mg
0.500 0.269 0.414 Mg
0.500 0.731 0.414 Mg
0.500 0.000 0.674 Mg
0.500 0.000 0.163 Mg
0.000 0.748 0.084 Mg
0.000 0.252 0.084 Mg
0.500 0.769 0.914 Mg
0.500 0.231 0.914 Mg
0.500 0.500 0.174 Mg
0.500 0.500 0.663 Mg
0.000 0.000 0.835 Co
0.000 0.500 0.335 Co
0.000 0.000 0.333 Sb
0.000 0.500 0.833 Sb
```

Properties
E = -2.539 eV per atom
Offset from the most stable computed form = 0.113 eV per formula unit
Energy relative to the elements = 0.042 eV/atom

***

Density functional theory data (PBE) for crystalline Nd5Ni19 at its relaxed geometry.

```
Nd5Ni19
1.0
-3.627 3.381 0.455
-4.463 -0.847 -2.038
-7.576 -6.223 13.099
Nd Ni
5 19
direct
0.000 0.000 0.000 Nd
0.078 0.078 0.766 Nd
0.922 0.922 0.234 Nd
0.152 0.152 0.545 Nd
0.848 0.848 0.455 Nd
0.500 0.500 0.500 Ni
0.251 0.251 0.246 Ni
0.749 0.749 0.754 Ni
0.333 0.333 0.000 Ni
0.667 0.667 0.000 Ni
0.415 0.415 0.755 Ni
0.585 0.585 0.245 Ni
0.123 0.622 0.632 Ni
0.622 0.622 0.632 Ni
0.622 0.123 0.632 Ni
0.877 0.378 0.368 Ni
0.378 0.378 0.368 Ni
0.378 0.877 0.368 Ni
0.040 0.541 0.878 Ni
0.541 0.541 0.878 Ni
0.541 0.040 0.878 Ni
0.960 0.459 0.122 Ni
0.459 0.459 0.122 Ni
0.459 0.960 0.122 Ni
```

Properties
E = -5.882 eV per atom
Space group = R-3m
Energy relative to the elements = -0.313 eV/atom